No. 1
Below is a relaxed U4Tc7Ge6 crystal, with properties calculated at the r²SCAN level.

Energy of formation   -0.492 eV/atom
Size of the total moment   2.54 μB/f.u.

Lattice parameters (Å, degrees): 11.7765 11.7765 7.1930 90.00 90.00 120.00
Space group R-3m (No. 166, hexagonal axes)
Symmetry-distinct sites (fractional):
1 U 0.0000 0.0000 0.0000 [3 per cell]
2 U 0.0000 0.5000 0.0000 [9 per cell]
3 Tc 0.0000 0.0000 0.5000 [3 per cell]
4 Tc 0.0000 0.2500 0.0000 [18 per cell]
5 Ge 0.1032 0.2064 0.7062 [18 per cell]

***

No. 2
Below is a relaxed Ga2Se2O7 crystal, with properties calculated at the r²SCAN level.

Energy of formation   -1.391 eV/atom
Size of the total moment   0.00 μB/f.u.

Lattice parameters (Å, degrees): 6.6041 12.6763 13.3529 90.00 90.00 90.00
Space group Pccn (No. 56)
Symmetry-distinct sites (fractional):
1 Ga 0.0236 0.1215 0.0275 [8 per cell]
2 Ga 0.2500 0.2500 0.2044 [4 per cell]
3 Ga 0.2500 0.7500 0.3313 [4 per cell]
4 Se 0.0072 0.5519 0.7186 [8 per cell]
5 Se 0.0179 0.6335 0.0356 [8 per cell]
6 O 0.0124 0.5246 0.5895 [8 per cell]
7 O 0.0130 0.2379 0.9359 [8 per cell]
8 O 0.0157 0.2034 0.1477 [8 per cell]
9 O 0.1793 0.1087 0.5448 [8 per cell]
10 O 0.1987 0.6391 0.7297 [8 per cell]
11 O 0.2061 0.1280 0.7811 [8 per cell]
12 O 0.2119 0.6345 0.9466 [8 per cell]

***

No. 3
Below is a relaxed PmPuAu2 crystal, with properties calculated at the r²SCAN level.

Energy of formation   -0.744 eV/atom
Size of the total moment   5.63 μB/f.u.

Lattice parameters (Å, degrees): 7.3115 7.3115 7.3115 90.00 90.00 90.00
Space group Fm-3m (No. 225)
Symmetry-distinct sites (fractional):
1 Pm 0.0000 0.0000 0.0000 [4 per cell]
2 Pu 0.0000 0.0000 0.5000 [4 per cell]
3 Au 0.2500 0.2500 0.2500 [8 per cell]

***

No. 4
Below is a relaxed TbFe2 crystal, with properties calculated at the r²SCAN level.

Energy of formation   0.031 eV/atom
Size of the total moment   3.89 μB/f.u.

Lattice parameters (Å, degrees): 7.3322 7.3322 7.3322 90.00 90.00 90.00
Space group Fd-3m (No. 227, origin choice 2)
Symmetry-distinct sites (fractional):
1 Tb 0.1250 0.1250 0.1250 [8 per cell]
2 Fe 0.0000 0.0000 0.5000 [16 per cell]

***

No. 5
Below is a relaxed Cu3Pd crystal, with properties calculated at the r²SCAN level.

Energy of formation   -0.100 eV/atom
Size of the total moment   0.00 μB/f.u.

Lattice parameters (Å, degrees): 3.6838 3.6838 25.5237 90.00 90.00 90.00
Space group P4/mmm (No. 123)
Symmetry-distinct sites (fractional):
1 Cu 0.0000 0.0000 0.0000 [1 per cell]
2 Cu 0.0000 0.0000 0.1432 [2 per cell]
3 Cu 0.0000 0.5000 0.0716 [4 per cell]
4 Cu 0.0000 0.5000 0.2144 [4 per cell]
5 Cu 0.0000 0.5000 0.3570 [4 per cell]
6 Cu 0.0000 0.5000 0.5000 [2 per cell]
7 Cu 0.5000 0.5000 0.2857 [2 per cell]
8 Cu 0.5000 0.5000 0.4287 [2 per cell]
9 Pd 0.0000 0.0000 0.2855 [2 per cell]
10 Pd 0.0000 0.0000 0.4284 [2 per cell]
11 Pd 0.5000 0.5000 0.0000 [1 per cell]
12 Pd 0.5000 0.5000 0.1432 [2 per cell]

***

No. 6
Below is a relaxed K2ZnI4 crystal, with properties calculated at the r²SCAN level.

Energy of formation   -1.284 eV/atom
Size of the total moment   0.00 μB/f.u.

Lattice parameters (Å, degrees): 7.8400 8.2181 9.6843 90.00 108.30 90.00
Space group P2_1/m (No. 11)
Symmetry-distinct sites (fractional):
1 K 0.2158 0.2500 0.0518 [2 per cell]
2 K 0.2610 0.2500 0.5668 [2 per cell]
3 Zn 0.2214 0.7500 0.7999 [2 per cell]
4 I 0.0029 0.0008 0.7401 [4 per cell]
5 I 0.4023 0.7500 0.0767 [2 per cell]
6 I 0.4196 0.7500 0.6274 [2 per cell]

***

No. 7
Below is a relaxed YbSbPt crystal, with properties calculated at the r²SCAN level.

Energy of formation   -1.379 eV/atom
Size of the total moment   0.00 μB/f.u.

Lattice parameters (Å, degrees): 6.5009 6.5009 6.5009 90.00 90.00 90.00
Space group F-43m (No. 216)
Symmetry-distinct sites (fractional):
1 Yb 0.0000 0.0000 0.0000 [4 per cell]
2 Sb 0.0000 0.0000 0.5000 [4 per cell]
3 Pt 0.2500 0.2500 0.2500 [4 per cell]

***

No. 8
Below is a relaxed FeH20C8NCl4 crystal, with properties calculated at the r²SCAN level.

Energy of formation   -0.337 eV/atom
Size of the total moment   5.00 μB/f.u.

Lattice parameters (Å, degrees): 14.0165 8.1385 12.9354 90.00 90.00 90.00
Space group Pca2_1 (No. 29)
Symmetry-distinct sites (fractional):
1 Fe 0.2404 0.2217 0.0000 [4 per cell]
2 H 0.0015 0.7029 0.0106 [4 per cell]
3 H 0.0076 0.9786 0.1010 [4 per cell]
4 H 0.0115 0.3161 0.7209 [4 per cell]
5 H 0.0254 0.9854 0.2357 [4 per cell]
6 H 0.0293 0.8872 0.8648 [4 per cell]
7 H 0.0308 0.2620 0.1567 [4 per cell]
8 H 0.0435 0.5475 0.3074 [4 per cell]
9 H 0.0491 0.2742 0.3326 [4 per cell]
10 H 0.0498 0.5115 0.1725 [4 per cell]
11 H 0.0505 0.5335 0.9450 [4 per cell]
12 H 0.0821 0.7666 0.5992 [4 per cell]
13 H 0.0907 0.0486 0.6839 [4 per cell]
14 H 0.1238 0.7027 0.9790 [4 per cell]
15 H 0.1285 0.5208 0.6657 [4 per cell]
16 H 0.1363 0.4836 0.7996 [4 per cell]
17 H 0.1756 0.9147 0.7950 [4 per cell]
18 H 0.1791 0.8178 0.2131 [4 per cell]
19 H 0.2100 0.7234 0.8467 [4 per cell]
20 H 0.2310 0.6300 0.1749 [4 per cell]
21 H 0.2316 0.8186 0.6181 [4 per cell]
22 C 0.0040 0.5545 0.2350 [4 per cell]
23 C 0.0243 0.7550 0.8536 [4 per cell]
24 C 0.0240 0.9817 0.6739 [4 per cell]
25 C 0.0381 0.7980 0.6657 [4 per cell]
26 C 0.0532 0.6670 0.9517 [4 per cell]
27 C 0.0909 0.5341 0.7390 [4 per cell]
28 C 0.1843 0.7847 0.7773 [4 per cell]
29 C 0.2459 0.7595 0.1896 [4 per cell]
30 N 0.0846 0.7176 0.7589 [4 per cell]
31 Cl 0.0973 0.1906 0.9329 [4 per cell]
32 Cl 0.1686 0.0181 0.4481 [4 per cell]
33 Cl 0.1985 0.4593 0.4517 [4 per cell]
34 Cl 0.2293 0.2222 0.1697 [4 per cell]

***

No. 9
Below is a relaxed CaAsPt crystal, with properties calculated at the r²SCAN level.

Energy of formation   -1.151 eV/atom
Size of the total moment   0.00 μB/f.u.

Lattice parameters (Å, degrees): 4.1909 4.1909 44.0388 90.00 90.00 90.00
Space group I4_1md (No. 109)
Symmetry-distinct sites (fractional):
1 Ca 0.0000 0.0000 0.0000 [4 per cell]
2 Ca 0.0000 0.0000 0.1663 [4 per cell]
3 Ca 0.0000 0.0000 0.3330 [4 per cell]
4 As 0.0000 0.0000 0.4722 [4 per cell]
5 As 0.0000 0.0000 0.6387 [4 per cell]
6 As 0.0000 0.0000 0.8057 [4 per cell]
7 Pt 0.0000 0.0000 0.5275 [4 per cell]
8 Pt 0.0000 0.0000 0.6937 [4 per cell]
9 Pt 0.0000 0.0000 0.8611 [4 per cell]

***

No. 10
Below is a relaxed YbCuBi crystal, with properties calculated at the r²SCAN level.

Energy of formation   -0.357 eV/atom
Size of the total moment   0.00 μB/f.u.

Lattice parameters (Å, degrees): 4.6026 4.6026 7.1417 90.00 90.00 120.00
Space group P6_3/mmc (No. 194)
Symmetry-distinct sites (fractional):
1 Yb 0.0000 0.0000 0.0000 [2 per cell]
2 Cu 0.3333 0.6667 0.2500 [2 per cell]
3 Bi 0.3333 0.6667 0.7500 [2 per cell]

***

No. 11
Below is a relaxed Bi4RuBr2 crystal, with properties calculated at the r²SCAN level.

Energy of formation   -0.347 eV/atom
Size of the total moment   0.00 μB/f.u.

Lattice parameters (Å, degrees): 16.4279 6.8419 11.1001 90.00 131.01 90.00
Space group C2/m (No. 12)
Symmetry-distinct sites (fractional):
1 Bi 0.0550 0.0000 0.3714 [4 per cell]
2 Bi 0.0824 0.5000 0.7737 [4 per cell]
3 Bi 0.1626 0.0000 0.7195 [4 per cell]
4 Bi 0.1728 0.5000 0.5752 [4 per cell]
5 Ru 0.0000 0.2912 0.5000 [4 per cell]
6 Br 0.1113 0.5000 0.2539 [4 per cell]
7 Br 0.1820 0.0000 0.0670 [4 per cell]

***

No. 12
Below is a relaxed ThAl8Fe4 crystal, with properties calculated at the r²SCAN level.

Energy of formation   -0.354 eV/atom
Size of the total moment   6.76 μB/f.u.

Lattice parameters (Å, degrees): 8.8162 8.8162 4.9937 90.00 90.00 90.00
Space group I4/mmm (No. 139)
Symmetry-distinct sites (fractional):
1 Th 0.0000 0.0000 0.0000 [2 per cell]
2 Al 0.0000 0.2263 0.5000 [8 per cell]
3 Al 0.0000 0.3470 0.0000 [8 per cell]
4 Fe 0.2500 0.2500 0.2500 [8 per cell]